(1)
VASP calculation (GGA-PBE) on a geometry-optimized Ba3Eu structure.

Unit cell a=6.953 b=6.953 c=6.953 alpha=60.00 beta=60.00 gamma=60.00
Element x y z (fractional)
Ba  0.250  0.250  0.250
Ba  0.750  0.750  0.750
Ba  0.500  0.500  0.500
Eu  0.000  0.000  0.000

Output
Electronic total energy: -3.977 eV per atom
Symmetry: Fm-3m, No. 225

=====

(2)
VASP calculation (GGA-PBE) on a geometry-optimized BaEuGe4O12 structure.

Unit cell a=6.261 b=6.261 c=8.824 alpha=90.00 beta=90.00 gamma=90.00
Element x y z (fractional)
Ba  0.500  0.500  0.000
Eu  0.000  0.000  0.500
Ge  0.000  0.500  0.750
Ge  0.000  0.500  0.250
Ge  0.500  0.000  0.750
Ge  0.500  0.000  0.250
O  0.238  0.238  0.735
O  0.238  0.238  0.265
O  0.762  0.762  0.265
O  0.762  0.762  0.735
O  0.762  0.238  0.735
O  0.762  0.238  0.265
O  0.238  0.762  0.265
O  0.238  0.762  0.735
O  0.000  0.500  0.500
O  0.000  0.500  0.000
O  0.500  0.000  0.500
O  0.500  0.000  0.000

Output
Electronic total energy: -5.463 eV per atom
Spin magnetization: 6.2 μB/cell
Symmetry: P4/mmm, No. 123
Total energy after the MP2020 corrections: -5.921 eV per atom

=====

(3)
VASP calculation (GGA-PBE) on a geometry-optimized BaLaEuZnO5 structure.

Unit cell a=6.850 b=6.850 c=7.600 alpha=62.96 beta=62.96 gamma=89.49
Element x y z (fractional)
Ba  0.250  0.250  0.500
Ba  0.750  0.750  0.500
La  0.676  0.176  0.000
La  0.324  0.824  0.000
Eu  0.825  0.675  0.000
Eu  0.175  0.325  0.000
Zn  0.750  0.250  0.500
Zn  0.250  0.750  0.500
O  0.515  0.722  0.263
O  0.222  0.015  0.263
O  0.722  0.222  0.265
O  0.012  0.512  0.265
O  0.485  0.278  0.737
O  0.778  0.985  0.737
O  0.278  0.778  0.735
O  0.988  0.488  0.735
O  0.500  0.500  0.000
O  0.000  0.000  0.000

Output
Electronic total energy: -7.384 eV per atom
Spin magnetization: 12.0 μB/cell
Symmetry: Fmmm, No. 69
Total energy after the MP2020 corrections: -7.766 eV per atom

=====

(4)
VASP calculation (GGA-PBE) on a geometry-optimized Ba2EuMgNbO6 structure.

Unit cell a=6.002 b=6.763 c=8.920 alpha=137.51 beta=132.61 gamma=63.57
Element x y z (fractional)
Ba  0.722  0.292  0.642
Ba  0.252  0.765  0.408
Eu  0.134  0.876  0.846
Mg  0.847  0.115  0.184
Nb  0.495  0.518  0.028
O  0.663  0.788  0.070
O  0.178  0.828  0.112
O  0.775  0.204  0.936
O  0.373  0.257  0.010
O  0.141  0.329  0.607
O  0.815  0.736  0.421

Output
Electronic total energy: -7.607 eV per atom
Spin magnetization: 8.0 μB/cell
Symmetry: P1, No. 1
Total energy after the MP2020 corrections: -7.982 eV per atom